Here is crystalline PrO3 at its relaxed geometry from the Materials Project. Energies are from PBE.

Cell: 5.6300 5.6300 4.4109 Å, 90.00 90.00 120.00°
Space group P6_3/m (No. 176)
Unique sites:
Pr  0.3333  0.6667  0.2500 x2
O  0.1444  0.7242  0.7500 x6

Output
- energy (eV per atom) = -6.333
- formation enthalpy at 0 K (eV per formula unit) = -7.768
- M_tot (μB per atom) = 0.750
- ρ (Mg/m³) = 5.182